i) Entry from the Materials Project database: a geometry-optimized KPr3 structure (PBE).

POSCAR file:
```
KPr3
1.0
5.418 0.000 0.000
0.000 5.418 0.000
0.000 0.000 5.418
K Pr
1 3
direct
0.000 0.000 0.000
0.000 0.500 0.500
0.500 0.000 0.500
0.500 0.500 0.000
```

Properties
For the size of the total moment, the calculation gives 0.00 Bohr magnetons per cell. Its crystal system is cubic.

=====

ii) Entry from the Materials Project database: a geometry-optimized KPr3 structure (PBE).

POSCAR file:
```
KPr3
1.0
7.967 0.000 0.000
-3.983 6.899 0.000
0.000 0.000 5.986
K Pr
2 6
direct
0.333 0.667 0.250
0.667 0.333 0.750
0.155 0.309 0.750
0.155 0.845 0.750
0.309 0.155 0.250
0.691 0.845 0.750
0.845 0.155 0.250
0.845 0.691 0.250
```

Properties
For the size of the total moment, the calculation gives 0.83 Bohr magnetons per cell. Its crystal system is hexagonal.

=====

Top of the stability list: ii), leading by 0.017 eV/atom.